The following is a GGA-PBE calculation of a relaxed In10Pb6S21 crystal, from the Materials Project.

Calculated values
As for the formation energy: -0.817 eV/atom. The value obtained for the energy above the most stable polymorph in this dataset is 0.000 eV per atom. The value obtained for the magnetization is 0.002 μB/cell. The raw total energy is -156.33 eV per cell.

a = 3.893 Å, b = 14.151 Å, c = 15.976 Å
α = 95.24°, β = 90.02°, γ = 97.83°
Positions (direct):
In (0.000, 0.000, 0.000)
In (0.028, 0.053, 0.258)
In (0.206, 0.404, 0.615)
In (0.250, 0.496, 0.022)
In (0.305, 0.598, 0.435)
In (0.422, 0.826, 0.147)
In (0.615, 0.224, 0.110)
In (0.739, 0.456, 0.822)
In (0.781, 0.555, 0.236)
In (0.830, 0.651, 0.643)
Pb (0.384, 0.749, 0.886)
Pb (0.451, 0.878, 0.425)
Pb (0.471, 0.929, 0.698)
Pb (0.560, 0.128, 0.559)
Pb (0.589, 0.175, 0.835)
Pb (0.649, 0.300, 0.371)
S (0.052, 0.098, 0.721)
S (0.097, 0.184, 0.003)
S (0.117, 0.230, 0.225)
S (0.133, 0.265, 0.497)
S (0.195, 0.371, 0.890)
S (0.236, 0.464, 0.316)
S (0.275, 0.556, 0.727)
S (0.320, 0.634, 0.152)
S (0.367, 0.725, 0.562)
S (0.488, 0.975, 0.893)
S (0.524, 0.027, 0.129)
S (0.542, 0.079, 0.366)
S (0.669, 0.330, 0.694)
S (0.711, 0.417, 0.106)
S (0.746, 0.500, 0.531)
S (0.797, 0.588, 0.942)
S (0.846, 0.682, 0.366)
S (0.901, 0.789, 0.761)
S (0.916, 0.823, 0.033)
S (0.946, 0.869, 0.254)
S (0.990, 0.957, 0.537)